[1]
A relaxed structure of Rb4P2PbSe8, computed with PBE-GGA.

Calculated values
As for the volume: 981.0 Å³ per cell.

abc: 12.037 12.037 12.037
angles: 133.37 127.67 72.68
Atoms (fractional coordinates):
1 Rb 0.414 0.298 0.885
2 Rb 0.586 0.702 0.115
3 Rb 0.914 0.529 0.615
4 Rb 0.086 0.471 0.385
5 Rb 0.486 0.236 0.250
6 Rb 0.014 0.764 0.250
7 Rb 0.514 0.764 0.750
8 Rb 0.986 0.236 0.750
9 P 0.874 0.076 0.202
10 P 0.126 0.924 0.798
11 P 0.374 0.673 0.298
12 P 0.626 0.327 0.702
13 Pb 0.250 0.000 0.250
14 Pb 0.750 0.000 0.750
15 Se 0.237 0.982 0.745
16 Se 0.763 0.018 0.255
17 Se 0.737 0.492 0.755
18 Se 0.263 0.508 0.245
19 Se 0.246 0.784 0.881
20 Se 0.097 0.216 0.461
21 Se 0.403 0.365 0.619
22 Se 0.254 0.635 0.039
23 Se 0.754 0.216 0.119
24 Se 0.903 0.784 0.539
25 Se 0.597 0.635 0.381
26 Se 0.746 0.365 0.961
27 Se 0.395 0.925 0.529
28 Se 0.605 0.075 0.471
29 Se 0.895 0.866 0.971
30 Se 0.105 0.134 0.029

[2]
A relaxed structure of CaSiPt, computed with PBE-GGA.

Calculated values
As for the volume: 240.5 Å³ per cell.

abc: 5.882 5.943 7.287
angles: 109.23 90.00 90.00
Atoms (fractional coordinates):
1 Ca 0.871 0.682 0.886
2 Ca 0.629 0.182 0.386
3 Ca 0.129 0.318 0.114
4 Ca 0.371 0.818 0.614
5 Si 0.379 0.820 0.053
6 Si 0.621 0.180 0.947
7 Si 0.879 0.680 0.447
8 Si 0.121 0.320 0.553
9 Pt 0.391 0.431 0.808
10 Pt 0.609 0.569 0.192
11 Pt 0.109 0.931 0.308
12 Pt 0.891 0.069 0.692

[3]
A relaxed structure of MgZn3, computed with PBE-GGA.

Calculated values
As for the volume: 130.5 Å³ per cell.

abc: 5.716 5.716 4.612
angles: 90.00 90.00 120.00
Atoms (fractional coordinates):
1 Mg 0.667 0.333 0.750
2 Mg 0.333 0.667 0.250
3 Zn 0.678 0.839 0.750
4 Zn 0.161 0.322 0.750
5 Zn 0.161 0.839 0.750
6 Zn 0.839 0.678 0.250
7 Zn 0.839 0.161 0.250
8 Zn 0.322 0.161 0.250

[4]
A relaxed structure of Ce2P3Rh3, computed with PBE-GGA.

Calculated values
As for the volume: 535.1 Å³ per cell.

abc: 5.398 5.398 18.368
angles: 90.00 90.00 90.00
Atoms (fractional coordinates):
1 Ce 0.500 0.500 0.759
2 Ce 0.500 0.500 0.241
3 P 0.500 0.500 0.378
4 P 0.500 0.500 0.622
5 P 0.500 0.500 0.000
6 Rh 0.500 0.500 0.125
7 Rh 0.500 0.500 0.875
8 Rh 0.500 0.500 0.500

[5]
A relaxed structure of NaH6CSNO3, computed with PBE-GGA.

Calculated values
For the polymorph energy (0 for the lowest one), the calculation gives 0.330 eV per atom. As for the volume: 930.7 Å³ per cell.

abc: 10.731 10.731 10.731
angles: 110.04 110.04 110.04
Atoms (fractional coordinates):
1 Na 0.198 0.542 0.983
2 Na 0.983 0.198 0.542
3 Na 0.542 0.983 0.198
4 Na 0.802 0.458 0.017
5 Na 0.017 0.802 0.458
6 Na 0.458 0.017 0.802
7 H 0.193 0.862 0.176
8 H 0.176 0.193 0.862
9 H 0.862 0.176 0.193
10 H 0.807 0.138 0.824
11 H 0.824 0.807 0.138
12 H 0.138 0.824 0.807
13 H 0.889 0.653 0.871
14 H 0.871 0.889 0.653
15 H 0.653 0.871 0.889
16 H 0.111 0.347 0.129
17 H 0.129 0.111 0.347
18 H 0.347 0.129 0.111
19 H 0.288 0.565 0.298
20 H 0.298 0.288 0.565
21 H 0.565 0.298 0.288
22 H 0.712 0.435 0.702
23 H 0.702 0.712 0.435
24 H 0.435 0.702 0.712
25 H 0.408 0.739 0.423
26 H 0.423 0.408 0.739
27 H 0.739 0.423 0.408
28 H 0.592 0.261 0.577
29 H 0.577 0.592 0.261
30 H 0.261 0.577 0.592
31 H 0.994 0.492 0.685
32 H 0.685 0.994 0.492
33 H 0.492 0.685 0.994
34 H 0.006 0.508 0.315
35 H 0.315 0.006 0.508
36 H 0.508 0.315 0.006
37 H 0.899 0.376 0.717
38 H 0.717 0.899 0.376
39 H 0.376 0.717 0.899
40 H 0.101 0.624 0.283
41 H 0.283 0.101 0.624
42 H 0.624 0.283 0.101
43 C 0.281 0.292 0.147
44 C 0.147 0.281 0.292
45 C 0.292 0.147 0.281
46 C 0.719 0.708 0.853
47 C 0.853 0.719 0.708
48 C 0.708 0.853 0.719
49 S 0.299 0.324 0.007
50 S 0.007 0.299 0.324
51 S 0.324 0.007 0.299
52 S 0.701 0.676 0.993
53 S 0.993 0.701 0.676
54 S 0.676 0.993 0.701
55 N 0.187 0.328 0.198
56 N 0.198 0.187 0.328
57 N 0.328 0.198 0.187
58 N 0.813 0.672 0.802
59 N 0.802 0.813 0.672
60 N 0.672 0.802 0.813
61 O 0.008 0.571 0.001
62 O 0.001 0.008 0.571
63 O 0.571 0.001 0.008
64 O 0.992 0.429 0.999
65 O 0.999 0.992 0.429
66 O 0.429 0.999 0.992
67 O 0.314 0.670 0.319
68 O 0.319 0.314 0.670
69 O 0.670 0.319 0.314
70 O 0.686 0.330 0.681
71 O 0.681 0.686 0.330
72 O 0.330 0.681 0.686
73 O 0.985 0.403 0.698
74 O 0.698 0.985 0.403
75 O 0.403 0.698 0.985
76 O 0.015 0.597 0.302
77 O 0.302 0.015 0.597
78 O 0.597 0.302 0.015

[6]
A relaxed structure of Br, computed with PBE-GGA.

Calculated values
For the polymorph energy (0 for the lowest one), the calculation gives 0.084 eV per atom. As for the volume: 38.8 Å³ per cell.

abc: 4.538 4.538 4.538
angles: 147.22 129.33 61.67
Atoms (fractional coordinates):
1 Br 0.000 0.000 0.000

[7]
A relaxed structure of Y3Fe29, computed with PBE-GGA.

Calculated values
As for the volume: 424.8 Å³ per cell.

abc: 6.416 6.416 10.471
angles: 85.14 85.14 82.67
Atoms (fractional coordinates):
1 Y 0.000 0.000 0.000
2 Y 0.188 0.188 0.402
3 Y 0.812 0.812 0.598
4 Fe 0.500 0.500 0.500
5 Fe 0.290 0.290 0.859
6 Fe 0.710 0.710 0.141
7 Fe 0.520 0.520 0.746
8 Fe 0.480 0.480 0.254
9 Fe 0.127 0.689 0.802
10 Fe 0.311 0.873 0.198
11 Fe 0.873 0.311 0.198
12 Fe 0.689 0.127 0.802
13 Fe 0.165 0.461 0.622
14 Fe 0.539 0.835 0.378
15 Fe 0.835 0.539 0.378
16 Fe 0.461 0.165 0.622
17 Fe 0.642 0.358 0.000
18 Fe 0.358 0.642 0.000
19 Fe 0.278 0.278 0.108
20 Fe 0.722 0.722 0.892
21 Fe 0.407 0.902 0.802
22 Fe 0.098 0.593 0.198
23 Fe 0.593 0.098 0.198
24 Fe 0.902 0.407 0.802
25 Fe 0.908 0.908 0.292
26 Fe 0.092 0.092 0.708
27 Fe 0.314 0.813 0.595
28 Fe 0.187 0.686 0.405
29 Fe 0.686 0.187 0.405
30 Fe 0.813 0.314 0.595
31 Fe 0.500 0.000 0.000
32 Fe 0.000 0.500 0.000

[8]
A relaxed structure of SrMg6V, computed with PBE-GGA.

Calculated values
For the polymorph energy (0 for the lowest one), the calculation gives 0.006 eV per atom. As for the volume: 199.8 Å³ per cell.

abc: 6.638 6.638 5.237
angles: 90.00 90.00 120.02
Atoms (fractional coordinates):
1 Sr 0.331 0.169 0.750
2 Mg 0.158 0.814 0.250
3 Mg 0.686 0.342 0.250
4 Mg 0.666 0.834 0.250
5 Mg 0.320 0.653 0.750
6 Mg 0.847 0.180 0.750
7 Mg 0.837 0.663 0.750
8 V 0.156 0.344 0.250

[9]
A relaxed structure of TmH3O3, computed with PBE-GGA.

Calculated values
For the polymorph energy (0 for the lowest one), the calculation gives 0.003 eV per atom. As for the volume: 118.7 Å³ per cell.

abc: 6.301 6.301 3.453
angles: 90.00 90.00 120.00
Atoms (fractional coordinates):
1 Tm 0.333 0.667 0.250
2 Tm 0.667 0.333 0.750
3 H 0.858 0.721 0.250
4 H 0.863 0.142 0.250
5 H 0.279 0.137 0.250
6 H 0.142 0.279 0.750
7 H 0.137 0.858 0.750
8 H 0.721 0.863 0.750
9 O 0.913 0.602 0.250
10 O 0.689 0.087 0.250
11 O 0.398 0.311 0.250
12 O 0.087 0.398 0.750
13 O 0.311 0.913 0.750
14 O 0.602 0.689 0.750

[10]
A relaxed structure of Li3PrBi2, computed with PBE-GGA.

Calculated values
As for the volume: 145.6 Å³ per cell.

abc: 4.733 4.733 7.505
angles: 90.00 90.00 120.00
Atoms (fractional coordinates):
1 Li 0.667 0.333 0.650
2 Li 0.333 0.667 0.350
3 Li 0.000 0.000 0.500
4 Pr 0.000 0.000 0.000
5 Bi 0.667 0.333 0.256
6 Bi 0.333 0.667 0.744

[11]
A relaxed structure of Ba2TmMgRuO6, computed with PBE-GGA.

Calculated values
For the polymorph energy (0 for the lowest one), the calculation gives 0.004 eV per atom. As for the volume: 169.4 Å³ per cell.

abc: 6.537 6.519 6.537
angles: 54.02 53.99 54.02
Atoms (fractional coordinates):
1 Ba 0.701 0.700 0.701
2 Ba 0.243 0.242 0.243
3 Tm 0.493 0.492 0.493
4 Mg 0.873 0.867 0.873
5 Ru 0.021 0.020 0.021
6 O 0.254 0.757 0.761
7 O 0.248 0.779 0.248
8 O 0.760 0.250 0.760
9 O 0.246 0.250 0.777
10 O 0.777 0.250 0.246
11 O 0.761 0.757 0.254

[12]
A relaxed structure of Mg2Sc3MnS8, computed with PBE-GGA.

Calculated values
As for the volume: 299.0 Å³ per cell.

abc: 7.528 7.478 7.533
angles: 59.85 59.88 59.91
Atoms (fractional coordinates):
1 Mg 0.875 0.874 0.875
2 Mg 0.125 0.126 0.125
3 Sc 0.500 0.500 0.500
4 Sc 0.500 0.500 0.000
5 Sc 0.000 0.500 0.500
6 Mn 0.500 0.000 0.500
7 S 0.737 0.751 0.736
8 S 0.264 0.248 0.723
9 S 0.258 0.727 0.258
10 S 0.722 0.248 0.265
11 S 0.742 0.273 0.742
12 S 0.278 0.752 0.735
13 S 0.263 0.249 0.264
14 S 0.736 0.752 0.277

[13]
A relaxed structure of MgTl3, computed with PBE-GGA.

Calculated values
As for the volume: 114.7 Å³ per cell.

abc: 6.080 6.080 6.080
angles: 133.92 133.92 67.22
Atoms (fractional coordinates):
1 Mg 0.000 0.000 0.000
2 Tl 0.500 0.500 0.000
3 Tl 0.750 0.250 0.500
4 Tl 0.250 0.750 0.500

[14]
A relaxed structure of NpOsO3, computed with PBE-GGA.

Calculated values
As for the volume: 63.2 Å³ per cell.

abc: 3.983 3.983 3.983
angles: 90.00 90.00 90.00
Atoms (fractional coordinates):
1 Np 0.500 0.500 0.500
2 Os 0.000 0.000 0.000
3 O 0.000 0.000 0.500
4 O 0.000 0.500 0.000
5 O 0.500 0.000 0.000

[15]
A relaxed structure of BaAl9Ni2, computed with PBE-GGA.

Calculated values
As for the volume: 218.0 Å³ per cell.

abc: 7.963 7.963 3.970
angles: 90.00 90.00 120.00
Atoms (fractional coordinates):
1 Ba 0.000 0.000 0.000
2 Al 0.500 0.000 0.000
3 Al 0.500 0.500 0.000
4 Al 0.000 0.500 0.000
5 Al 0.214 0.427 0.500
6 Al 0.786 0.214 0.500
7 Al 0.427 0.214 0.500
8 Al 0.573 0.786 0.500
9 Al 0.214 0.786 0.500
10 Al 0.786 0.573 0.500
11 Ni 0.667 0.333 0.000
12 Ni 0.333 0.667 0.000

[16]
A relaxed structure of NaZnBi, computed with PBE-GGA.

Calculated values
As for the volume: 162.1 Å³ per cell.

abc: 4.630 4.630 7.558
angles: 90.00 90.00 90.00
Atoms (fractional coordinates):
1 Na 0.750 0.750 0.330
2 Na 0.250 0.250 0.670
3 Zn 0.250 0.750 0.000
4 Zn 0.750 0.250 0.000
5 Bi 0.750 0.750 0.769
6 Bi 0.250 0.250 0.231

[17]
A relaxed structure of HfO2, computed with PBE-GGA.

Calculated values
As for the volume: 32.7 Å³ per cell.

abc: 3.589 3.589 3.589
angles: 60.00 60.00 60.00
Atoms (fractional coordinates):
1 Hf 0.000 0.000 0.000
2 O 0.750 0.750 0.750
3 O 0.250 0.250 0.250

[18]
A relaxed structure of MnZnSe2, computed with PBE-GGA.

Calculated values
As for the volume: 99.3 Å³ per cell.

abc: 4.125 4.125 6.737
angles: 90.00 90.00 120.00
Atoms (fractional coordinates):
1 Mn 0.333 0.667 0.499
2 Zn 0.667 0.333 0.999
3 Se 0.333 0.667 0.120
4 Se 0.667 0.333 0.630

no.,formation energy (meV/atom)
1,-979
2,-960
3,-65
4,1075
5,-698
6,84
7,-3
8,257
9,-2253
10,-693
11,-2539
12,-1793
13,20
14,-1642
15,-361
16,-190
17,-3931
18,-775